(1)
The following is a PBE-GGA calculation of crystalline Na6Sc3TaSi2P4O24 at its relaxed geometry, from the Materials Project database.

Values from the calculation:
- ρ (Mg/m³) = 3.2
- formation enthalpy at 0 K (kcal/mol of atoms) = -70.5
- space group = P1, No. 1
- magnetic moment (μB per atom) = 0.0000

```
Na6Sc3TaSi2P4O24
1.0
9.0510 0.0000 0.0000
4.5183 7.8568 0.0000
0.0158 -0.0086 22.5818
Na Sc Ta Si P O
18 9 3 6 12 72
direct
0.0000 0.0000 0.0000
0.0024 0.9983 0.4995
0.0301 0.2974 0.5851
0.0311 0.6523 0.0868
0.2981 0.6615 0.5895
0.3003 0.0414 0.0854
0.3213 0.3457 0.6743
0.3403 0.3442 0.1668
0.3605 0.0009 0.7586
0.6265 0.9973 0.2531
0.6275 0.3667 0.7558
0.6507 0.6774 0.3335
0.6586 0.0435 0.5881
0.6602 0.6708 0.8368
0.6863 0.9804 0.9181
0.6938 0.3243 0.4174
0.9737 0.3270 0.9218
0.9941 0.3735 0.2543
0.0031 0.9966 0.3586
0.0043 0.9923 0.8559
0.3201 0.3427 0.3208
0.3242 0.3368 0.8227
0.3258 0.3333 0.5194
0.3316 0.3316 0.0237
0.6557 0.6659 0.1884
0.6650 0.6642 0.6902
0.9920 0.0031 0.6538
0.6538 0.6700 0.9879
0.6657 0.6646 0.4830
0.9925 0.0029 0.1490
0.0345 0.3317 0.4215
0.3288 0.0364 0.9214
0.3681 0.6647 0.0902
0.6596 0.3742 0.5890
0.6616 0.9598 0.0903
0.9501 0.3769 0.0897
0.0295 0.6299 0.9235
0.2863 0.0007 0.2546
0.2894 0.7042 0.7522
0.3288 0.6290 0.4238
0.3733 0.9563 0.5883
0.6205 0.0382 0.4211
0.6219 0.3381 0.9200
0.6977 0.0020 0.7550
0.7052 0.2898 0.2564
0.9505 0.6679 0.5873
0.9957 0.2956 0.7548
0.9962 0.7117 0.2546
0.0119 0.8049 0.1973
0.0215 0.1848 0.6983
0.1152 0.5129 0.8697
0.1160 0.3657 0.3624
0.1292 0.5085 0.5812
0.1306 0.5539 0.9801
0.1394 0.3118 0.4819
0.1400 0.3488 0.0816
0.1573 0.0214 0.9153
0.1569 0.5326 0.2564
0.1600 0.3075 0.7595
0.1733 0.0194 0.1982
0.1746 0.8064 0.4168
0.1809 0.8471 0.0958
0.1876 0.7860 0.6945
0.1946 0.9835 0.3086
0.1965 0.9678 0.5904
0.1986 0.8220 0.8053
0.2961 0.1678 0.2558
0.2986 0.1529 0.9796
0.3097 0.5482 0.4811
0.3169 0.5228 0.7582
0.3254 0.5146 0.0815
0.3512 0.1368 0.5817
0.3687 0.1179 0.8625
0.3725 0.5068 0.3706
0.4611 0.7031 0.0325
0.4679 0.8473 0.2516
0.4689 0.6917 0.7502
0.4708 0.8391 0.5346
0.4798 0.8797 0.6446
0.4830 0.6404 0.1467
0.4914 0.3532 0.5826
0.4949 0.6463 0.4308
0.4959 0.1445 0.0810
0.5081 0.8476 0.9290
0.5119 0.1183 0.3653
0.5193 0.1686 0.7575
0.5190 0.3679 0.8624
0.5322 0.2947 0.2568
0.5344 0.3097 0.9729
0.5397 0.1492 0.4768
0.6290 0.4925 0.6467
0.6319 0.8770 0.1486
0.6367 0.8589 0.4308
0.6486 0.4965 0.9283
0.6690 0.8480 0.7504
0.6833 0.4792 0.5315
0.6947 0.4634 0.2505
0.6971 0.8308 0.0318
0.7855 0.0246 0.6987
0.7997 0.0176 0.4160
0.8029 0.1788 0.9152
0.8033 0.9830 0.8108
0.8075 0.1694 0.2018
0.8102 0.2067 0.3123
0.8287 0.4688 0.0305
0.8315 0.4716 0.7499
0.8328 0.6932 0.5326
0.8354 0.1880 0.5901
0.8346 0.6938 0.2509
0.8381 0.5090 0.4294
0.8421 0.9650 0.0952
0.8484 0.6413 0.9278
0.8664 0.6398 0.6414
0.8708 0.4914 0.1480
0.9652 0.8308 0.5901
0.9692 0.2093 0.8097
0.9705 0.1845 0.0964
0.9715 0.8258 0.3076
0.9906 0.1783 0.4177
0.9921 0.8148 0.9159
```

***

(2)
The following is a PBE-GGA calculation of crystalline Na3ScTa3Si3P3O24 at its relaxed geometry, from the Materials Project database.

Values from the calculation:
- ρ (Mg/m³) = 3.9
- formation enthalpy at 0 K (kcal/mol of atoms) = -71.7
- space group = P1, No. 1
- magnetic moment (μB per atom) = 0.0000

```
Na3ScTa3Si3P3O24
1.0
8.8732 0.0000 0.0000
-4.4343 7.7110 0.0000
-0.0028 -0.0251 22.8495
Na Sc Ta Si P O
9 3 9 9 9 72
direct
0.0000 0.0000 0.0000
0.0057 0.0059 0.5052
0.2997 0.3317 0.9201
0.3318 0.6693 0.8379
0.3400 0.6741 0.3360
0.3676 0.0043 0.7546
0.6362 0.6447 0.7535
0.6718 0.3412 0.1710
0.6792 0.3428 0.6697
0.0062 0.0081 0.8617
0.3367 0.6625 0.6885
0.3428 0.6704 0.1918
0.0062 0.0061 0.3619
0.0093 0.0094 0.1499
0.0091 0.0090 0.6505
0.3393 0.6728 0.9845
0.3462 0.6758 0.4828
0.6722 0.3413 0.0259
0.6732 0.3434 0.5247
0.6739 0.3407 0.3185
0.6746 0.3399 0.8209
0.2965 0.3013 0.7572
0.3427 0.3860 0.0899
0.3855 0.0475 0.9231
0.3863 0.3403 0.4216
0.6322 0.6732 0.5897
0.6732 0.0546 0.4221
0.6786 0.6341 0.9233
0.9617 0.3404 0.9239
0.9620 0.6270 0.4218
0.0062 0.2932 0.2560
0.0081 0.7178 0.7554
0.0496 0.3840 0.5880
0.0514 0.6728 0.0900
0.2943 0.0076 0.2560
0.3422 0.9639 0.5893
0.6284 0.9628 0.0898
0.7196 0.0103 0.7552
0.7210 0.7200 0.2558
0.0255 0.1982 0.3100
0.0291 0.8369 0.0976
0.0322 0.2001 0.5959
0.0369 0.8296 0.8092
0.1230 0.4908 0.6432
0.1309 0.6445 0.1445
0.1531 0.6492 0.4319
0.1539 0.5171 0.9310
0.1652 0.4726 0.2517
0.1657 0.4708 0.5338
0.1674 0.1896 0.0983
0.1674 0.7055 0.0347
0.1698 0.7026 0.7472
0.1759 0.9838 0.5955
0.1803 0.9894 0.3100
0.1890 0.2139 0.8154
0.1947 0.1702 0.4123
0.2018 0.1688 0.6998
0.2026 0.0336 0.2013
0.2026 0.0396 0.9187
0.3101 0.4728 0.0306
0.3112 0.8463 0.5352
0.3134 0.8480 0.2512
0.3331 0.4976 0.7514
0.3637 0.5099 0.4312
0.3699 0.8910 0.6460
0.3734 0.8604 0.9310
0.3738 0.5016 0.1467
0.4750 0.1765 0.2621
0.4761 0.3083 0.4789
0.4846 0.1762 0.9783
0.4928 0.3134 0.7600
0.4946 0.6360 0.9311
0.5019 0.1470 0.5798
0.5016 0.8629 0.4307
0.5076 0.1390 0.8632
0.5090 0.3561 0.0812
0.5094 0.3715 0.3644
0.5195 0.8864 0.1443
0.5245 0.6412 0.6492
0.5344 0.7014 0.5328
0.5343 0.8554 0.7475
0.5422 0.7029 0.2525
0.5430 0.8475 0.0347
0.6362 0.5050 0.8643
0.6435 0.1464 0.3644
0.6563 0.5031 0.5800
0.6576 0.1476 0.0803
0.6957 0.5294 0.9791
0.7025 0.1768 0.7598
0.7053 0.1744 0.4795
0.7074 0.5385 0.2624
0.7968 0.9722 0.8085
0.8131 0.9800 0.0976
0.8168 0.8339 0.3100
0.8271 0.8478 0.5961
0.8363 0.0349 0.6999
0.8371 0.3054 0.2620
0.8373 0.5372 0.7601
0.8373 0.8096 0.2013
0.8387 0.5368 0.4788
0.8424 0.0309 0.4122
0.8416 0.3182 0.9801
0.8441 0.8197 0.9187
0.8641 0.3564 0.5795
0.8682 0.5143 0.0806
0.8687 0.5047 0.3643
0.8712 0.3742 0.8652
0.9731 0.8052 0.7002
0.9795 0.1754 0.2013
0.9820 0.8184 0.4123
0.9927 0.1792 0.9197
```

***

Number 2 is which compound? Na3ScTa3Si3P3O24

***

The lowest formation enthalpy at 0 K belongs to which entry? Na3ScTa3Si3P3O24

***

Among the records above, which one has the lowest ρ? Na6Sc3TaSi2P4O24